K2Ni3Se4 | PBE-GGA | optimized geometry

**E_tot**: -4.3574 eV per atom
**V**: 214.3 Å³/f.u.
**Total magnetic moment**: 0.00 μB per cell
**ΔH_f (0 K)**: -0.8400 eV/atom

```
data_K2Ni3Se4
_chemical_formula_sum 'K16 Ni24 Se32'
_cell_length_a 6.077
_cell_length_b 10.578
_cell_length_c 26.668
_cell_angle_alpha 90.00
_cell_angle_beta 90.00
_cell_angle_gamma 90.00
_symmetry_space_group_name_H-M 'F d d d'
_symmetry_Int_Tables_number 70
loop_
_symmetry_equiv_pos_as_xyz
'x,y,z'
'-x,-y,-z'
'-x+1/4,-y+1/4,z'
'x+1/4,y+1/4,-z'
'x,-y+1/4,-z+1/4'
'-x,y+1/4,z+1/4'
'-x+1/4,y,-z+1/4'
'x+1/4,-y,z+1/4'
'x,y+1/2,z+1/2'
'-x,-y+1/2,-z+1/2'
'-x+1/4,-y+3/4,z+1/2'
'x+1/4,y+3/4,-z+1/2'
'x,-y+3/4,-z+3/4'
'-x,y+3/4,z+3/4'
'-x+1/4,y+1/2,-z+3/4'
'x+1/4,-y+1/2,z+3/4'
'x+1/2,y,z+1/2'
'-x+1/2,-y,-z+1/2'
'-x+3/4,-y+1/4,z+1/2'
'x+3/4,y+1/4,-z+1/2'
'x+1/2,-y+1/4,-z+3/4'
'-x+1/2,y+1/4,z+3/4'
'-x+3/4,y,-z+3/4'
'x+3/4,-y,z+3/4'
'x+1/2,y+1/2,z'
'-x+1/2,-y+1/2,-z'
'-x+3/4,-y+3/4,z'
'x+3/4,y+3/4,-z'
'x+1/2,-y+3/4,-z+1/4'
'-x+1/2,y+3/4,z+1/4'
'-x+3/4,y+1/2,-z+1/4'
'x+3/4,-y+1/2,z+1/4'
loop_
_atom_site_label
_atom_site_fract_x
_atom_site_fract_y
_atom_site_fract_z
K1 0.125 0.125 0.049
Ni1 0.125 0.125 0.375
Ni2 0.125 0.125 0.625
Se1 0.123 0.292 0.567
```

=====

Rb2NiP2 | PBE-GGA | optimized geometry

**E_tot**: -4.1498 eV per atom
**V**: 138.8 Å³/f.u.
**ΔH_f (0 K)**: -0.4363 eV/atom

```
data_Rb2NiP2
_chemical_formula_sum 'Rb8 Ni4 P8'
_cell_length_a 6.780
_cell_length_b 14.021
_cell_length_c 5.840
_cell_angle_alpha 90.00
_cell_angle_beta 90.00
_cell_angle_gamma 90.00
_symmetry_space_group_name_H-M 'C m c m'
_symmetry_Int_Tables_number 63
_symmetry_space_group_name_Hall '-C 2c 2'
loop_
_atom_site_label
_atom_site_fract_x
_atom_site_fract_y
_atom_site_fract_z
Rb1 0.000 0.086 0.250
Rb2 0.000 0.288 0.750
Ni1 0.000 0.500 0.000
P1 0.161 0.406 0.250
```

=====

NaAuI4O12 | PBE-GGA | optimized geometry

**E_tot**: -4.3257 eV per atom
**Energy relative to the lowest polymorph listed for this composition**: 0.005 eV per atom
**V**: 300.5 Å³/f.u.
**Total magnetic moment**: 0.00 μB per cell
**ΔH_f (0 K)**: -0.8911 eV/atom

```
data_NaAuI4O12
_chemical_formula_sum 'Na1 Au1 I4 O12'
_cell_length_a 5.715
_cell_length_b 7.190
_cell_length_c 8.293
_cell_angle_alpha 105.80
_cell_angle_beta 95.52
_cell_angle_gamma 110.34
_symmetry_space_group_name_H-M 'P 1'
_symmetry_Int_Tables_number 1
loop_
_symmetry_equiv_pos_as_xyz
'x,y,z'
loop_
_atom_site_label
_atom_site_fract_x
_atom_site_fract_y
_atom_site_fract_z
Na1 0.000 0.000 0.000
Au1 0.246 0.012 0.465
I1 0.332 0.640 0.160
I2 0.339 0.714 0.696
I3 0.641 0.354 0.849
I4 0.716 0.310 0.329
O1 0.041 0.398 0.087
O2 0.101 0.788 0.573
O3 0.129 0.800 0.229
O4 0.191 0.734 0.881
O5 0.320 0.233 0.693
O6 0.367 0.231 0.350
O7 0.468 0.651 0.370
O8 0.492 0.315 0.030
O9 0.613 0.966 0.766
O10 0.652 0.619 0.879
O11 0.713 0.053 0.218
O12 0.859 0.350 0.549
```

=====

Cs7NaSi8 | PBE-GGA | optimized geometry

**E_tot**: -3.2548 eV per atom
**V**: 630.9 Å³/f.u.
**Total magnetic moment**: 0.00 μB per cell
**ΔH_f (0 K)**: -0.0323 eV/atom

```
data_Cs7NaSi8
_chemical_formula_sum 'Cs28 Na4 Si32'
_cell_length_a 13.615
_cell_length_b 13.615
_cell_length_c 13.615
_cell_angle_alpha 90.00
_cell_angle_beta 90.00
_cell_angle_gamma 90.00
_symmetry_space_group_name_H-M 'P a -3'
_symmetry_Int_Tables_number 205
_symmetry_space_group_name_Hall '-P 2ac 2ab 3'
loop_
_atom_site_label
_atom_site_fract_x
_atom_site_fract_y
_atom_site_fract_z
Cs1 0.000 0.000 0.000
Cs2 0.044 0.226 0.313
Na1 0.000 0.000 0.500
Si1 0.062 0.697 0.923
Si2 0.195 0.695 0.805
```

=====

TbCo3B2 | PBE-GGA | optimized geometry

**E_tot**: -7.0371 eV per atom
**V**: 65.7 Å³/f.u.
**ΔH_f (0 K)**: -0.4840 eV/atom

```
data_TbCo3B2
_chemical_formula_sum 'Tb1 Co3 B2'
_cell_length_a 5.0093
_cell_length_b 5.0093
_cell_length_c 3.0250
_cell_angle_alpha 90.00
_cell_angle_beta 90.00
_cell_angle_gamma 120.00
_symmetry_space_group_name_H-M 'P 6/m m m'
_symmetry_Int_Tables_number 191
_symmetry_space_group_name_Hall '-P 6 2'
loop_
_atom_site_label
_atom_site_fract_x
_atom_site_fract_y
_atom_site_fract_z
Tb1 0.0000 0.0000 0.0000
Co1 0.0000 0.5000 0.5000
B1 0.3333 0.6667 0.0000
```

=====

Zn2SiGeN4 | PBE-GGA | optimized geometry

**E_tot**: -6.2204 eV per atom
**V**: 89.2 Å³/f.u.
**Total magnetic moment**: 0.00 μB per cell
**ΔH_f (0 K)**: -0.6617 eV/atom

```
data_Zn2SiGeN4
_chemical_formula_sum 'Zn4 Si2 Ge2 N8'
_cell_length_a 5.401
_cell_length_b 5.153
_cell_length_c 6.406
_cell_angle_alpha 90.00
_cell_angle_beta 90.17
_cell_angle_gamma 90.00
_symmetry_space_group_name_H-M 'P 1 21 1'
_symmetry_Int_Tables_number 4
loop_
_symmetry_equiv_pos_as_xyz
'x,y,z'
'-x,y+1/2,-z'
loop_
_atom_site_label
_atom_site_fract_x
_atom_site_fract_y
_atom_site_fract_z
Zn1 0.079 0.000 0.373
Zn2 0.412 0.501 0.879
Si1 0.072 0.000 0.879
Ge1 0.426 0.503 0.370
N1 0.058 0.343 0.904
N2 0.092 0.401 0.346
N3 0.384 0.900 0.861
N4 0.436 0.865 0.388
```

=====

- What is the V in the third record?
  300.5 Å³/f.u.